Compound: CrSbO4
Source: the Materials Project
Functional: PBE+U
Structure: relaxed

a b c (Å): 4.644 6.281 9.805
angles (deg): 71.32 91.57 90.00
Fractional coordinates of all 24 atoms:
Cr  0.500  0.125  0.250
Cr  0.500  0.875  0.750
Cr  0.500  0.375  0.750
Cr  0.500  0.625  0.250
Sb  0.000  0.750  0.500
Sb  0.000  0.500  0.000
Sb  0.000  0.250  0.500
Sb  0.000  0.000  0.000
O  0.695  0.576  0.847
O  0.695  0.326  0.347
O  0.695  0.076  0.847
O  0.695  0.826  0.347
O  0.305  0.674  0.653
O  0.305  0.424  0.153
O  0.305  0.174  0.653
O  0.305  0.924  0.153
O  0.194  0.298  0.903
O  0.194  0.048  0.403
O  0.194  0.798  0.903
O  0.194  0.548  0.403
O  0.806  0.452  0.597
O  0.806  0.202  0.097
O  0.806  0.952  0.597
O  0.806  0.702  0.097

* mass density: 5.8 g/cm³
* DFT formation energy: -2.12 eV/atom